Below is a relaxed Sc2FeB2Ir5 crystal, with properties calculated at the PBE level.

Values from the calculation:
The calculation puts the mass density at 13842 kg/m³. The calculation puts the formation energy at -0.7214 eV/atom.

a = 9.3805 Å, b = 9.3805 Å, c = 3.0769 Å
α = 90.00°, β = 90.00°, γ = 90.00°
Atoms (fractional coordinates):
Sc  0.1764  0.3236  0.0000
Sc  0.3236  0.8236  0.0000
Sc  0.6764  0.1764  0.0000
Sc  0.8236  0.6764  0.0000
Fe  0.0000  0.0000  0.0000
Fe  0.5000  0.5000  0.0000
B  0.1246  0.6246  0.0000
B  0.3754  0.1246  0.0000
B  0.6246  0.8754  0.0000
B  0.8754  0.3754  0.0000
Ir  0.0000  0.5000  0.5000
Ir  0.0695  0.7843  0.5000
Ir  0.2157  0.0695  0.5000
Ir  0.2843  0.5695  0.5000
Ir  0.4305  0.2843  0.5000
Ir  0.5000  0.0000  0.5000
Ir  0.5695  0.7157  0.5000
Ir  0.7157  0.4305  0.5000
Ir  0.7843  0.9305  0.5000
Ir  0.9305  0.2157  0.5000